# LiMn7O14 | the Materials Project | PBE with a Hubbard U | optimized geometry
data_LiMn7O14
_symmetry_space_group_name_H-M 'P 1'
_symmetry_Int_Tables_number 1
_symmetry_space_group_name_Hall 'P 1'
_cell_length_a 10.244
_cell_length_b 10.244
_cell_length_c 13.116
_cell_angle_alpha 97.20
_cell_angle_beta 97.20
_cell_angle_gamma 47.88
loop_
_atom_site_label
_atom_site_type_symbol
_atom_site_fract_x
_atom_site_fract_y
_atom_site_fract_z
Li1 Li 0.018 0.268 0.179
Li2 Li 0.268 0.018 0.679
Li3 Li 0.732 0.982 0.321
Li4 Li 0.982 0.732 0.821
Mn1 Mn 0.000 0.000 0.000
Mn2 Mn 0.000 0.000 0.500
Mn3 Mn 0.000 0.500 0.000
Mn4 Mn 0.074 0.571 0.215
Mn5 Mn 0.143 0.146 0.430
Mn6 Mn 0.143 0.641 0.429
Mn7 Mn 0.146 0.143 0.930
Mn8 Mn 0.213 0.713 0.641
Mn9 Mn 0.286 0.288 0.357
Mn10 Mn 0.287 0.787 0.859
Mn11 Mn 0.288 0.286 0.857
Mn12 Mn 0.359 0.857 0.071
Mn13 Mn 0.429 0.430 0.286
Mn14 Mn 0.429 0.926 0.285
Mn15 Mn 0.430 0.429 0.786
Mn16 Mn 0.500 0.000 0.500
Mn17 Mn 0.570 0.571 0.214
Mn18 Mn 0.571 0.074 0.715
Mn19 Mn 0.571 0.570 0.714
Mn20 Mn 0.641 0.143 0.929
Mn21 Mn 0.712 0.714 0.143
Mn22 Mn 0.713 0.213 0.141
Mn23 Mn 0.714 0.712 0.643
Mn24 Mn 0.787 0.287 0.359
Mn25 Mn 0.854 0.857 0.070
Mn26 Mn 0.857 0.359 0.571
Mn27 Mn 0.857 0.854 0.570
Mn28 Mn 0.926 0.429 0.785
O1 O 0.026 0.060 0.371
O2 O 0.042 0.514 0.859
O3 O 0.060 0.026 0.871
O4 O 0.062 0.528 0.352
O5 O 0.081 0.615 0.075
O6 O 0.094 0.131 0.563
O7 O 0.102 0.630 0.568
O8 O 0.131 0.094 0.063
O9 O 0.171 0.195 0.798
O10 O 0.186 0.654 0.290
O11 O 0.195 0.171 0.298
O12 O 0.200 0.673 0.783
O13 O 0.227 0.751 0.504
O14 O 0.231 0.261 0.986
O15 O 0.249 0.773 0.996
O16 O 0.261 0.231 0.486
O17 O 0.314 0.340 0.228
O18 O 0.327 0.800 0.717
O19 O 0.340 0.314 0.728
O20 O 0.346 0.814 0.210
O21 O 0.370 0.898 0.932
O22 O 0.374 0.403 0.415
O23 O 0.385 0.919 0.425
O24 O 0.403 0.374 0.915
O25 O 0.454 0.484 0.657
O26 O 0.472 0.938 0.148
O27 O 0.484 0.454 0.157
O28 O 0.486 0.958 0.641
O29 O 0.514 0.042 0.359
O30 O 0.516 0.546 0.843
O31 O 0.528 0.062 0.852
O32 O 0.546 0.516 0.343
O33 O 0.597 0.626 0.085
O34 O 0.615 0.081 0.575
O35 O 0.626 0.597 0.585
O36 O 0.630 0.102 0.068
O37 O 0.654 0.186 0.790
O38 O 0.660 0.686 0.272
O39 O 0.673 0.200 0.283
O40 O 0.686 0.660 0.772
O41 O 0.739 0.769 0.514
O42 O 0.751 0.227 0.004
O43 O 0.769 0.739 0.014
O44 O 0.773 0.249 0.496
O45 O 0.800 0.327 0.217
O46 O 0.805 0.829 0.702
O47 O 0.814 0.346 0.710
O48 O 0.829 0.805 0.202
O49 O 0.869 0.906 0.937
O50 O 0.898 0.370 0.432
O51 O 0.906 0.869 0.437
O52 O 0.919 0.385 0.925
O53 O 0.938 0.472 0.648
O54 O 0.940 0.974 0.129
O55 O 0.958 0.486 0.141
O56 O 0.974 0.940 0.629
# * total magnetic moment: 1.00 μB per atom
# * mass density: 4.0 g cm⁻³
# * formation enthalpy at 0 K: -1859 meV per atom

---

# LiMn3O4 | the Materials Project | PBE with a Hubbard U | optimized geometry
data_LiMn3O4
_symmetry_space_group_name_H-M 'P 1'
_symmetry_Int_Tables_number 1
_symmetry_space_group_name_Hall 'P 1'
_cell_length_a 3.158
_cell_length_b 8.480
_cell_length_c 6.308
_cell_angle_alpha 90.00
_cell_angle_beta 92.73
_cell_angle_gamma 90.00
loop_
_atom_site_label
_atom_site_type_symbol
_atom_site_fract_x
_atom_site_fract_y
_atom_site_fract_z
Li1 Li 0.000 0.000 0.000
Li2 Li 0.000 0.499 0.500
Mn1 Mn 0.000 0.499 0.000
Mn2 Mn 0.000 0.999 0.500
Mn3 Mn 0.494 0.247 0.254
Mn4 Mn 0.495 0.752 0.254
Mn5 Mn 0.505 0.752 0.746
Mn6 Mn 0.506 0.247 0.746
O1 O 0.000 0.258 0.500
O2 O 0.000 0.264 0.000
O3 O 0.000 0.733 0.000
O4 O 0.000 0.741 0.500
O5 O 0.446 0.496 0.230
O6 O 0.490 0.002 0.249
O7 O 0.510 0.002 0.751
O8 O 0.554 0.496 0.770
# * total magnetic moment: 1.13 μB per atom
# * mass density: 4.6 g cm⁻³
# * formation enthalpy at 0 K: -2047 meV per atom

---

# Li5MnO5 | the Materials Project | PBE with a Hubbard U | optimized geometry
data_Li5MnO5
_symmetry_space_group_name_H-M 'P 1'
_symmetry_Int_Tables_number 1
_symmetry_space_group_name_Hall 'P 1'
_cell_length_a 5.065
_cell_length_b 5.065
_cell_length_c 5.659
_cell_angle_alpha 106.26
_cell_angle_beta 106.26
_cell_angle_gamma 48.07
loop_
_atom_site_label
_atom_site_type_symbol
_atom_site_fract_x
_atom_site_fract_y
_atom_site_fract_z
Li1 Li 0.000 0.000 0.000
Li2 Li 0.318 0.280 0.164
Li3 Li 0.328 0.298 0.640
Li4 Li 0.702 0.672 0.360
Li5 Li 0.720 0.682 0.836
Mn1 Mn 0.074 0.926 0.500
O1 O 0.134 0.145 0.339
O2 O 0.179 0.133 0.814
O3 O 0.491 0.509 0.500
O4 O 0.855 0.866 0.661
O5 O 0.867 0.821 0.186
# * energy above the lowest structure with this stoichiometry: 0.030 eV/atom
# * total magnetic moment: 0.18 μB per atom
# * mass density: 2.7 g cm⁻³
# * formation enthalpy at 0 K: -1957 meV per atom